Compound: Li3Fe8B8O24
Source: the Materials Project database
Functional: PBE with a Hubbard U
Structure: relaxed

Results
- spin magnetization (μB/f.u.) = 37.00
- uncorrected energy (eV per cell) = -307.658
- formation energy (eV/f.u.) = -96.52

Geometry as POSCAR:
```
Li3Fe8B8O24
1.0
5.2456 0.0000 0.0000
0.2006 9.1512 0.0000
0.1190 0.2410 10.0203
Li Fe B O
3 8 8 24
direct
0.0000 0.0000 0.0000 Li
0.0037 0.9970 0.4966 Li
0.5009 0.5010 0.9918 Li
0.0248 0.3332 0.9626 Fe
0.3378 0.6742 0.7140 Fe
0.3508 0.0102 0.2163 Fe
0.4900 0.1930 0.4620 Fe
0.5195 0.8320 0.9600 Fe
0.8366 0.5062 0.2176 Fe
0.8384 0.1769 0.7155 Fe
0.9990 0.6614 0.4632 Fe
0.0116 0.6725 0.9654 B
0.3337 0.6726 0.2134 B
0.3424 0.0042 0.7093 B
0.4994 0.8416 0.4635 B
0.5157 0.1710 0.9641 B
0.8386 0.1740 0.2117 B
0.8404 0.5026 0.7135 B
0.9993 0.3444 0.4624 B
0.0819 0.0209 0.6979 O
0.0837 0.6595 0.2648 O
0.2513 0.3545 0.4569 O
0.2653 0.6562 0.9190 O
0.3472 0.7263 0.5104 O
0.3683 0.9694 0.4210 O
0.3875 0.0438 0.0074 O
0.3983 0.3041 0.9641 O
0.4193 0.8086 0.1732 O
0.4461 0.8702 0.7516 O
0.4843 0.5508 0.1958 O
0.5007 0.1178 0.6729 O
0.5865 0.1622 0.2508 O
0.5873 0.5275 0.7278 O
0.7615 0.8286 0.4621 O
0.7741 0.1547 0.9222 O
0.8460 0.4699 0.4215 O
0.8713 0.2175 0.5069 O
0.8894 0.5454 0.0123 O
0.8933 0.8057 0.9651 O
0.9306 0.3097 0.1732 O
0.9521 0.3705 0.7536 O
0.9945 0.0514 0.2049 O
0.9987 0.6121 0.6599 O
```

Compound: Li32Ti5Cr11O48
Source: the Materials Project database
Functional: PBE with a Hubbard U
Structure: relaxed

Results
- spin magnetization (μB/f.u.) = 22.07
- uncorrected energy (eV per cell) = -624.867
- formation energy (eV/f.u.) = -235.58

Geometry as POSCAR:
```
Li32Ti5Cr11O48
1.0
2.5348 -4.3574 0.0000
2.5348 4.3574 0.0000
-1.3133 0.0000 38.5550
Li Ti Cr O
32 5 11 48
direct
0.0003 0.9997 0.0000 Li
0.0279 0.3488 0.0626 Li
0.0617 0.0645 0.1875 Li
0.0923 0.7741 0.3123 Li
0.1215 0.1232 0.3751 Li
0.1439 0.4666 0.4376 Li
0.1853 0.1819 0.5623 Li
0.2259 0.9077 0.6877 Li
0.2500 0.2500 0.7500 Li
0.2761 0.5944 0.8125 Li
0.3102 0.3174 0.9375 Li
0.3507 0.0256 0.0624 Li
0.3789 0.3767 0.1250 Li
0.4056 0.7239 0.1875 Li
0.4380 0.4351 0.3125 Li
0.4766 0.1548 0.4379 Li
0.5001 0.4999 0.5000 Li
0.5334 0.8561 0.5624 Li
0.5649 0.5620 0.6875 Li
0.6010 0.2811 0.8124 Li
0.6232 0.6211 0.8750 Li
0.6512 0.9721 0.9374 Li
0.6826 0.6898 0.0625 Li
0.7189 0.3990 0.1876 Li
0.7500 0.7500 0.2500 Li
0.7830 0.1033 0.3126 Li
0.8181 0.8147 0.4377 Li
0.8452 0.5234 0.5621 Li
0.8768 0.8785 0.6249 Li
0.8967 0.2170 0.6874 Li
0.9355 0.9383 0.8125 Li
0.9744 0.6493 0.9376 Li
0.0370 0.7050 0.1248 Ti
0.2049 0.5374 0.6247 Ti
0.2950 0.9630 0.8752 Ti
0.4626 0.7951 0.3753 Ti
0.6664 0.3336 0.0000 Ti
0.0794 0.4212 0.2499 Cr
0.1716 0.8284 0.5000 Cr
0.3313 0.6687 0.0000 Cr
0.4210 0.0788 0.2501 Cr
0.5438 0.2101 0.6251 Cr
0.5788 0.9206 0.7501 Cr
0.7099 0.0441 0.1253 Cr
0.7899 0.4562 0.3749 Cr
0.8296 0.1704 0.5000 Cr
0.9212 0.5790 0.7499 Cr
0.9559 0.2901 0.8747 Cr
0.0022 0.0125 0.0963 O
0.0118 0.6525 0.0283 O
0.0202 0.3713 0.1532 O
0.0956 0.7303 0.2217 O
0.1117 0.4720 0.3471 O
0.1189 0.1187 0.2783 O
0.1271 0.7728 0.4030 O
0.1328 0.1324 0.4718 O
0.1555 0.5198 0.5283 O
0.2272 0.8729 0.5970 O
0.2304 0.5958 0.7217 O
0.2366 0.2419 0.6544 O
0.2636 0.2586 0.8454 O
0.2697 0.9044 0.7783 O
0.2730 0.6274 0.9028 O
0.3475 0.9882 0.9717 O
0.3642 0.3674 0.0289 O
0.3726 0.7270 0.0972 O
0.3812 0.3812 0.2217 O
0.3880 0.0284 0.1530 O
0.4042 0.7696 0.2783 O
0.4800 0.1289 0.3470 O
0.4802 0.8445 0.4717 O
0.4979 0.4880 0.4039 O
0.5120 0.5021 0.5961 O
0.5200 0.1550 0.5281 O
0.5280 0.8883 0.6529 O
0.5957 0.2299 0.7218 O
0.6188 0.6188 0.7783 O
0.6278 0.2763 0.9037 O
0.6287 0.9798 0.8468 O
0.6326 0.6358 0.9711 O
0.6505 0.0037 0.0281 O
0.7237 0.3722 0.0963 O
0.7301 0.0954 0.2218 O
0.7415 0.7364 0.1546 O
0.7581 0.7634 0.3456 O
0.7701 0.4043 0.2782 O
0.7767 0.1277 0.4038 O
0.8450 0.4800 0.4719 O
0.8676 0.8672 0.5282 O
0.8711 0.5200 0.6530 O
0.8723 0.2233 0.5962 O
0.8813 0.8811 0.7217 O
0.9046 0.2699 0.7782 O
0.9716 0.6120 0.8470 O
0.9875 0.9978 0.9037 O
0.9963 0.3495 0.9719 O
```

Compound: MgV4O7F5
Source: the Materials Project database
Functional: PBE with a Hubbard U
Structure: relaxed

Results
- spin magnetization (μB/f.u.) = 3.00
- uncorrected energy (eV per cell) = -113.354
- formation energy (eV/f.u.) = -45.13

Geometry as POSCAR:
```
MgV4O7F5
1.0
5.2684 0.0000 0.0000
-0.1626 5.3937 0.0000
-0.2205 -0.4005 7.2711
Mg V O F
1 4 7 5
direct
0.0000 0.0000 0.0000 Mg
0.0022 0.5505 0.7651 V
0.0331 0.5724 0.2708 V
0.4971 0.0557 0.7362 V
0.5174 0.0478 0.2383 V
0.1038 0.5548 0.4959 O
0.2041 0.8701 0.7929 O
0.3194 0.7877 0.2080 O
0.4626 0.0873 0.5015 O
0.6311 0.0617 0.9928 O
0.8402 0.2763 0.7264 O
0.9409 0.6037 0.0007 O
0.1978 0.2538 0.1718 F
0.3162 0.3747 0.8074 F
0.7080 0.3793 0.2809 F
0.7155 0.7470 0.6921 F
0.8489 0.8926 0.2896 F
```

Compound: BaSrGdVO6
Source: the Materials Project database
Functional: PBE with a Hubbard U
Structure: relaxed

Results
- spin magnetization (μB/f.u.) = 7.00
- uncorrected energy (eV per cell) = -81.850
- formation energy (eV/f.u.) = -31.22

Geometry as POSCAR:
```
BaSrGdVO6
1.0
0.0000 4.1711 4.1711
4.1711 0.0000 4.1711
4.1711 4.1711 0.0000
Ba Sr Gd V O
1 1 1 1 6
direct
0.0000 0.0000 0.0000 Ba
0.5000 0.5000 0.5000 Sr
0.7500 0.7500 0.7500 Gd
0.2500 0.2500 0.2500 V
0.0207 0.0207 0.4793 O
0.0207 0.4793 0.0207 O
0.0207 0.4793 0.4793 O
0.4793 0.0207 0.0207 O
0.4793 0.0207 0.4793 O
0.4793 0.4793 0.0207 O
```

Compound: BaMgMn2O5
Source: the Materials Project database
Functional: PBE with a Hubbard U
Structure: relaxed

Results
- spin magnetization (μB/f.u.) = 8.00
- uncorrected energy (eV per cell) = -55.478
- formation energy (eV/f.u.) = -15.67

Geometry as POSCAR:
```
BaMgMn2O5
1.0
2.0453 -6.0919 0.0000
2.0453 6.0919 0.0000
0.0000 0.0000 5.7613
Ba Mg Mn O
1 1 2 5
direct
0.0000 0.0000 0.0000 Ba
0.0000 0.0000 0.5000 Mg
0.3335 0.6665 0.5000 Mn
0.6665 0.3335 0.5000 Mn
0.1611 0.8389 0.5000 O
0.3756 0.6244 0.0000 O
0.5000 0.5000 0.5000 O
0.6244 0.3756 0.0000 O
0.8389 0.1611 0.5000 O
```

Compound: MgFeBiO5
Source: the Materials Project database
Functional: PBE with a Hubbard U
Structure: relaxed

Results
- spin magnetization (μB/f.u.) = 5.00
- uncorrected energy (eV per cell) = -190.328
- formation energy (eV/f.u.) = -14.57

Geometry as POSCAR:
```
MgFeBiO5
1.0
5.3899 0.0000 0.0000
0.0000 10.4652 0.0000
-2.9644 0.0000 7.9421
Mg Fe Bi O
4 4 4 20
direct
0.0374 0.0895 0.1677 Mg
0.0374 0.4105 0.6677 Mg
0.9626 0.5895 0.3323 Mg
0.9626 0.9105 0.8323 Mg
0.3611 0.6145 0.0536 Fe
0.3611 0.8855 0.5536 Fe
0.6389 0.1145 0.4464 Fe
0.6389 0.3855 0.9464 Fe
0.4665 0.1032 0.8433 Bi
0.4665 0.3968 0.3433 Bi
0.5335 0.6032 0.6567 Bi
0.5335 0.8968 0.1567 Bi
0.1818 0.5289 0.1854 O
0.1818 0.9711 0.6854 O
0.2103 0.7171 0.4961 O
0.2103 0.7829 0.9961 O
0.2559 0.0429 0.0086 O
0.2559 0.4571 0.5086 O
0.3171 0.2104 0.3063 O
0.3171 0.2896 0.8063 O
0.3508 0.5437 0.8378 O
0.3508 0.9563 0.3378 O
0.6492 0.0437 0.6622 O
0.6492 0.4563 0.1622 O
0.6829 0.7104 0.1937 O
0.6829 0.7896 0.6937 O
0.7441 0.5429 0.4914 O
0.7441 0.9571 0.9914 O
0.7897 0.2171 0.0039 O
0.7897 0.2829 0.5039 O
0.8182 0.0289 0.3146 O
0.8182 0.4711 0.8146 O
```

What did the fifth record say?
Compound: BaMgMn2O5
Source: the Materials Project database
Functional: PBE with a Hubbard U
Structure: relaxed

Results
- spin magnetization (μB/f.u.) = 8.00
- uncorrected energy (eV per cell) = -55.478
- formation energy (eV/f.u.) = -15.67

Geometry as POSCAR:
```
BaMgMn2O5
1.0
2.0453 -6.0919 0.0000
2.0453 6.0919 0.0000
0.0000 0.0000 5.7613
Ba Mg Mn O
1 1 2 5
direct
0.0000 0.0000 0.0000 Ba
0.0000 0.0000 0.5000 Mg
0.3335 0.6665 0.5000 Mn
0.6665 0.3335 0.5000 Mn
0.1611 0.8389 0.5000 O
0.3756 0.6244 0.0000 O
0.5000 0.5000 0.5000 O
0.6244 0.3756 0.0000 O
0.8389 0.1611 0.5000 O
```

- Which of these has the lowest uncorrected energy?
  Li32Ti5Cr11O48

- What is the uncorrected energy in the third record?
  -113.354 eV per cell